PBE Rb2U2Cl4O7, optimized geometry; electronic total energy = -0.24196 hartree per atom; corrected total energy (MP2020 scheme) = -0.489 Ry per atom; energy of formation from the pure elements = -2.2209 eV/atom
1.0
8.7342 0.0000 0.0000
0.0000 8.6559 0.0000
-7.6311 0.0000 20.1877
Rb U Cl O
8 8 16 28
Cartesian
-2.7066 2.0935 8.8327 Rb
-6.5222 2.2344 18.9265 Rb
-3.0658 0.4402 15.0533 Rb
0.7497 3.8877 4.9595 Rb
0.3533 4.7682 15.2282 Rb
4.1689 8.2157 5.1344 Rb
7.6253 6.4215 1.2611 Rb
3.8097 6.5624 11.3550 Rb
-4.7592 6.0741 17.5775 U
-0.9437 6.9097 7.4837 U
3.3425 5.3227 1.2383 U
-0.4731 7.6611 11.3322 U
1.5761 0.9948 8.8555 U
-2.2394 3.3331 18.9493 U
2.0467 1.7462 12.7040 U
5.8623 2.5818 2.6101 U
-1.7076 6.3787 4.9606 Cl
-5.5232 6.6051 15.0545 Cl
-1.9356 5.6698 9.8003 Cl
-5.7512 7.3140 19.8941 Cl
-1.9819 6.3290 13.1833 Cl
1.8336 6.6548 3.0895 Cl
-2.9208 4.4336 16.3952 Cl
0.8947 8.5503 6.3014 Cl
0.2083 0.1056 13.8863 Cl
4.0239 4.2223 3.7925 Cl
-0.7306 2.0011 17.0982 Cl
3.0850 2.3268 7.0043 Cl
6.8542 1.3419 0.2935 Cl
3.0387 2.9861 10.3874 Cl
6.6262 2.0508 5.1332 Cl
2.8107 2.2772 15.2270 Cl
-6.1045 4.8394 17.6399 O
-2.2889 8.1444 7.5461 O
-0.4195 0.7163 2.8481 O
-4.2351 3.6117 12.9419 O
0.7138 1.1849 2.7243 O
-3.1018 3.1430 12.8181 O
-1.8788 0.1472 11.1144 O
1.9367 4.1808 1.0206 O
0.2213 5.5239 7.3320 O
-3.5943 7.4600 17.4258 O
0.2045 2.1633 8.6216 O
-3.6110 2.1647 18.7154 O
-3.7510 5.0825 19.2182 O
0.0646 7.9013 9.1243 O
1.0385 0.7546 11.0633 O
4.8540 3.5734 0.9695 O
4.7141 6.4912 1.4723 O
0.8985 6.4926 11.5661 O
4.6973 1.1959 2.7619 O
0.8818 3.1320 12.8557 O
-0.8337 4.4751 19.1671 O
2.9819 8.5087 9.0733 O
4.2048 5.5128 7.3695 O
0.3892 7.4710 17.4634 O
5.3381 5.0442 7.2457 O
1.5226 7.9396 17.3395 O
3.3920 0.5115 12.6416 O
7.2076 3.8164 2.5478 O

PBE Re3Cl9O5, optimized geometry; electronic total energy = -0.17592 hartree per atom; corrected total energy (MP2020 scheme) = -0.367 Ry per atom; energy of formation from the pure elements = -0.3590 eV/atom
1.0
15.5344 0.0000 0.0000
0.0000 8.7964 5.0097
0.0000 -8.7964 5.0097
Re Cl O
6 18 10
Cartesian
3.8836 -8.2245 5.0097 Re
3.8836 -4.0490 5.9244 Re
3.8836 3.4744 6.8861 Re
11.6508 -3.4744 6.8861 Re
11.6508 4.0490 5.9244 Re
11.6508 8.2245 5.0097 Re
1.6418 3.4237 7.3183 Cl
1.6614 -7.8238 4.7782 Cl
1.6600 -4.4079 5.6363 Cl
3.8836 -3.4948 3.5356 Cl
3.8836 2.3520 1.6369 Cl
3.8836 1.1639 7.5438 Cl
6.1058 -7.8238 4.7782 Cl
6.1072 -4.4079 5.6363 Cl
6.1255 3.4237 7.3183 Cl
9.4090 -3.4237 7.3183 Cl
9.4272 4.4079 5.6363 Cl
9.4286 7.8238 4.7782 Cl
11.6508 -2.3520 1.6369 Cl
11.6508 3.4948 3.5356 Cl
11.6508 -1.1639 7.5438 Cl
13.8744 4.4079 5.6363 Cl
13.8730 7.8238 4.7782 Cl
13.8927 -3.4237 7.3183 Cl
1.9185 5.8389 4.2270 O
3.8836 -1.0033 0.5956 O
3.8836 -2.7781 7.0333 O
3.8836 3.7834 5.2293 O
5.8487 5.8389 4.2270 O
9.6858 -5.8389 4.2270 O
11.6508 1.0033 0.5956 O
11.6508 -3.7834 5.2293 O
11.6508 2.7781 7.0333 O
13.6159 -5.8389 4.2270 O

PBE ReClO3, optimized geometry; electronic total energy = -0.26277 hartree per atom; corrected total energy (MP2020 scheme) = -0.556 Ry per atom; energy of formation from the pure elements = -1.7350 eV/atom
1.0
5.8907 0.0000 0.0000
0.0000 9.3450 0.0000
-5.0928 0.0000 7.9551
Re Cl O
4 4 12
Cartesian
-0.9561 2.1243 2.1802 Re
-3.5025 2.5482 6.1577 Re
4.3004 6.7968 1.7974 Re
1.7540 7.2207 5.7750 Re
0.7674 0.7584 1.8390 Cl
-1.7790 3.9141 5.8166 Cl
2.5769 5.4309 2.1385 Cl
0.0305 8.5866 6.1161 Cl
-1.8571 1.5856 3.5529 O
-4.4035 3.0869 7.5305 O
-2.9522 0.9421 6.4691 O
-0.4058 3.7303 2.4915 O
-0.5294 6.8373 3.1544 O
-3.0758 7.1802 7.1319 O
3.8737 2.1648 0.8232 O
1.3273 2.5077 4.8008 O
1.2037 5.6146 5.4636 O
3.7501 8.4028 1.4860 O
5.2014 6.2580 0.4247 O
2.6550 7.7594 4.4022 O

PBE ReCl3O3, optimized geometry; electronic total energy = -0.19362 hartree per atom; corrected total energy (MP2020 scheme) = -0.409 Ry per atom; energy of formation from the pure elements = -0.8726 eV/atom
1.0
5.5331 0.0000 0.0000
-0.7372 6.5393 0.0000
-1.8260 -1.7642 10.1315
Re Cl O
2 6 6
Cartesian
-0.3179 0.6764 3.1647 Re
3.2878 4.0987 6.9668 Re
-0.6536 -0.5224 7.8007 Cl
-1.1320 3.0596 9.2750 Cl
0.8604 2.6975 3.0317 Cl
2.1096 2.0776 7.0998 Cl
4.1019 1.7155 0.8565 Cl
3.6235 5.2975 2.3308 Cl
-0.8931 3.4519 6.1241 O
0.6335 0.7872 1.4232 O
0.7037 -0.0126 4.3558 O
2.2662 4.7877 5.7757 O
2.3364 3.9878 8.7083 O
3.8630 1.3232 4.0074 O

PBE ReCl3O2, optimized geometry; electronic total energy = -0.20623 hartree per atom; corrected total energy (MP2020 scheme) = -0.429 Ry per atom; energy of formation from the pure elements = -1.1930 eV/atom
1.0
8.5212 0.0000 0.0000
0.0000 8.5356 0.0000
0.0000 0.0000 8.4671
Re Cl O
4 12 8
Cartesian
1.9855 0.5913 0.0000 Re
2.2751 4.8591 4.2335 Re
6.2461 3.6765 4.2335 Re
6.5357 7.9444 0.0000 Re
0.0000 0.0000 1.6103 Cl
0.0000 0.0000 6.8568 Cl
1.0175 2.6674 0.0000 Cl
2.0150 2.5810 4.2335 Cl
2.2456 6.8488 0.0000 Cl
3.2430 6.9352 4.2335 Cl
4.2606 4.2678 2.6233 Cl
4.2606 4.2678 5.8438 Cl
5.2781 1.6004 4.2335 Cl
6.2756 1.6868 0.0000 Cl
6.5061 5.9546 4.2335 Cl
7.5036 5.8682 0.0000 Cl
1.2808 5.1405 2.8662 O
1.2808 5.1405 5.6009 O
2.9797 0.8727 1.3673 O
2.9797 0.8727 7.0997 O
5.5414 7.6629 1.3673 O
5.5414 7.6629 7.0997 O
7.2403 3.3951 2.8662 O
7.2403 3.3951 5.6009 O

PBE ReCl4O2, optimized geometry; electronic total energy = -0.17622 hartree per atom; corrected total energy (MP2020 scheme) = -0.367 Ry per atom; energy of formation from the pure elements = -0.7436 eV/atom
1.0
11.5367 0.0000 0.0000
0.0000 5.6692 0.0000
0.0000 0.0000 12.0325
Re Cl O
4 16 8
Cartesian
1.6207 0.3522 0.0000 Re
4.1476 3.1869 6.0163 Re
7.3891 2.4824 0.0000 Re
9.9160 5.3170 6.0163 Re
0.1218 1.3478 1.7963 Cl
0.4044 1.5039 10.4001 Cl
2.5386 4.7261 10.4483 Cl
2.8045 4.9076 1.6371 Cl
2.9638 2.0730 7.6534 Cl
3.2297 1.8915 4.4321 Cl
5.3640 4.3386 4.3838 Cl
5.6465 4.1824 7.8126 Cl
5.8902 1.4868 1.7963 Cl
6.1727 1.3307 10.4001 Cl
8.3070 3.7777 10.4483 Cl
8.5728 3.5962 1.6371 Cl
8.7322 0.7616 7.6534 Cl
8.9981 0.9431 4.4321 Cl
11.1323 4.1653 4.3838 Cl
11.4149 4.3214 7.8126 Cl
0.0933 5.1189 0.4501 O
2.5915 1.7719 0.2338 O
3.1768 4.6065 6.2500 O
5.6751 2.2843 6.4664 O
5.8616 3.3849 0.4501 O
8.3599 1.0627 0.2338 O
8.9452 3.8973 6.2500 O
11.4434 0.5503 6.4664 O

PBE ReS2ClO9, optimized geometry; electronic total energy = -0.23330 hartree per atom; corrected total energy (MP2020 scheme) = -0.502 Ry per atom; energy of formation from the pure elements = -1.6626 eV/atom
1.0
7.2768 0.0000 0.0000
2.9933 7.3359 0.0000
1.5337 -0.6237 8.1160
Re S Cl O
2 4 2 18
Cartesian
2.9001 2.0964 1.6049 Re
8.9038 4.6157 6.5111 Re
2.4057 1.5580 5.0635 S
4.8568 4.5996 2.2696 S
6.9471 2.1125 5.8464 S
9.3981 5.1542 3.0525 S
0.8360 1.2373 1.4979 Cl
10.9678 5.4749 6.6181 Cl
2.6396 2.9772 5.4449 O
3.7554 5.2452 3.3279 O
2.7766 0.5918 6.0404 O
2.9074 1.2917 3.7058 O
2.8630 2.9791 0.1445 O
4.5973 5.1264 0.9657 O
4.4757 3.0860 2.3475 O
3.8169 0.7177 1.2063 O
6.0964 4.7832 2.9442 O
5.7074 1.9290 5.1718 O
7.9869 5.9944 6.9097 O
7.3282 3.6261 5.7685 O
7.2065 1.5858 7.1503 O
8.9408 3.7331 7.9716 O
8.8965 5.4204 4.4102 O
9.0272 6.1204 2.0756 O
8.0484 1.4670 4.7881 O
9.1642 3.7350 2.6711 O

PBE Re2Te4Cl22O, optimized geometry; electronic total energy = -0.12786 hartree per atom; energy relative to the lowest polymorph listed for this composition = 0.5 kJ/mol of atoms; corrected total energy (MP2020 scheme) = -0.257 Ry per atom; energy of formation from the pure elements = -0.6382 eV/atom
1.0
11.7405 0.0000 0.0000
0.0000 9.5087 0.0000
-8.1587 0.0000 16.7258
Re Te Cl O
4 8 44 2
Cartesian
-3.4418 1.3656 7.2722 Re
-7.5211 3.3887 15.6351 Re
11.1030 6.1199 1.0907 Re
7.0236 8.1431 9.4535 Re
-2.7339 1.6238 11.4533 Te
1.3455 3.1306 3.0904 Te
-4.9016 6.6020 16.3959 Te
-0.8222 7.6610 8.0330 Te
4.4040 1.8477 8.6927 Te
8.4834 2.9066 0.3299 Te
2.2364 6.3781 13.6353 Te
6.3157 7.8849 5.2724 Te
-6.7738 1.6795 14.2767 Cl
-2.6944 3.0749 5.9139 Cl
-5.2215 0.2289 11.1811 Cl
-1.1421 4.5254 2.8182 Cl
0.1761 1.8372 0.6566 Cl
-3.9032 2.9171 9.0194 Cl
0.1816 1.3899 4.0967 Cl
-3.8977 3.3644 12.4596 Cl
1.5844 6.4395 2.0081 Cl
-2.4950 7.8235 10.3710 Cl
-1.2124 1.0412 8.1176 Cl
-5.2917 3.7132 16.4804 Cl
-0.5398 5.3216 8.2955 Cl
-4.6191 8.9414 16.6583 Cl
-3.5174 6.5383 14.4566 Cl
0.5619 7.7247 6.0937 Cl
-2.3761 0.4918 13.4951 Cl
1.7033 4.2626 5.1322 Cl
3.4524 2.0419 3.1840 Cl
-0.6270 2.7125 11.5469 Cl
4.9915 6.0823 1.1330 Cl
0.9121 8.1807 9.4959 Cl
2.6697 1.3280 7.2299 Cl
-1.4097 3.4263 15.5928 Cl
4.2088 6.7962 5.1789 Cl
0.1295 7.4668 13.5418 Cl
1.8786 5.2461 11.5935 Cl
5.9579 9.0169 3.2306 Cl
3.0199 1.7840 10.6320 Cl
7.0992 2.9704 2.2692 Cl
8.2009 0.5673 0.0674 Cl
4.1216 4.1871 8.4303 Cl
8.8736 5.7955 0.2453 Cl
4.7942 8.4675 8.6082 Cl
6.0768 1.6851 6.3548 Cl
1.9974 3.0692 14.7177 Cl
7.4796 6.1442 4.2662 Cl
3.4002 8.1188 12.6290 Cl
7.4850 6.5915 7.7063 Cl
3.4057 7.6715 16.0692 Cl
4.7240 4.9832 13.9075 Cl
8.8033 9.2798 5.5446 Cl
6.2763 6.4338 10.8119 Cl
10.3556 7.8292 2.4490 Cl
-4.0794 0.0000 8.3629 O
0.0000 4.7543 0.0000 O

PBE Re2Te4Cl22O, optimized geometry; electronic total energy = -0.12804 hartree per atom; energy relative to the lowest polymorph listed for this composition = 0.0 kJ/mol of atoms; corrected total energy (MP2020 scheme) = -0.258 Ry per atom; energy of formation from the pure elements = -0.6430 eV/atom
1.0
9.6128 0.0000 0.0000
0.0000 12.2063 0.0000
-8.3077 0.0000 17.9971
Re Te Cl O
4 8 44 2
Cartesian
-2.8590 0.8137 7.9402 Re
-7.0129 5.2894 16.9387 Re
8.3179 6.9169 1.0584 Re
4.1641 11.3925 10.0570 Re
-2.3580 8.8118 9.1258 Te
1.7958 9.4976 0.1272 Te
-2.3577 0.7208 12.1499 Te
1.7962 5.3823 3.1513 Te
-0.4911 6.8240 14.8458 Te
3.6627 11.4854 5.8473 Te
-0.4908 2.7087 17.8699 Te
3.6631 3.3945 8.8714 Te
-6.8090 7.4144 15.8454 Cl
-2.6551 10.8950 6.8468 Cl
-2.7752 7.2720 7.4242 Cl
-6.9291 11.0374 16.4228 Cl
-3.1206 2.9315 9.0281 Cl
1.0332 3.1717 0.0296 Cl
0.3616 7.7390 2.6555 Cl
-3.7922 10.5704 11.6541 Cl
-1.2341 1.7042 6.5588 Cl
-5.3880 4.3989 15.5574 Cl
-2.5956 7.2073 10.8539 Cl
1.5582 11.1021 1.8553 Cl
-3.4314 0.8303 14.2703 Cl
0.7224 5.2729 5.2717 Cl
-1.1869 0.1719 9.5357 Cl
2.9670 5.9312 0.5372 Cl
-0.0017 8.5196 9.0596 Cl
4.1521 9.7898 0.0610 Cl
1.8756 0.5767 5.0988 Cl
-2.2782 5.5265 14.0973 Cl
-1.1430 2.7446 12.4242 Cl
3.0109 3.3585 3.4256 Cl
-1.7058 8.8477 14.5715 Cl
2.4480 9.4617 5.5729 Cl
3.5833 6.6798 3.8998 Cl
-0.5706 11.6296 12.8984 Cl
-2.8470 2.4164 17.9361 Cl
1.3068 3.6867 8.9376 Cl
-1.6619 6.2750 17.4600 Cl
2.4919 12.0344 8.4614 Cl
0.5826 6.9334 12.7254 Cl
4.7365 11.3760 3.7268 Cl
-0.2532 1.1042 16.1418 Cl
3.9007 4.9989 7.1432 Cl
6.6930 7.8073 2.4398 Cl
2.5392 10.5021 11.4383 Cl
5.0973 1.6359 6.3430 Cl
0.9434 4.4672 15.3416 Cl
0.2719 9.0346 17.9676 Cl
4.4257 9.2748 8.9690 Cl
8.2341 1.1689 1.5744 Cl
4.0803 4.9343 10.5729 Cl
3.9602 1.3113 11.1503 Cl
8.1140 4.7918 2.1517 Cl
-4.1538 0.0000 8.9986 O
0.0000 6.1031 0.0000 O

PBE Sr4Ru6ClO18, optimized geometry; electronic total energy = -0.25171 hartree per atom; corrected total energy (MP2020 scheme) = -0.535 Ry per atom; energy of formation from the pure elements = -1.9890 eV/atom
1.0
-4.6771 4.6771 4.6771
4.6771 -4.6771 4.6771
4.6771 4.6771 -4.6771
Sr Ru Cl O
4 6 1 18
Cartesian
1.7511 1.7511 -1.7511 Sr
1.7511 -1.7511 1.7511 Sr
-1.7511 1.7511 1.7511 Sr
2.9261 2.9261 2.9261 Sr
4.6771 1.5290 0.0000 Ru
4.6771 0.0000 3.1482 Ru
3.1482 4.6771 0.0000 Ru
1.5290 0.0000 4.6771 Ru
0.0000 4.6771 1.5290 Ru
0.0000 3.1482 4.6771 Ru
0.0000 0.0000 0.0000 Cl
3.4931 0.0000 0.0000 O
5.8612 0.0000 0.0000 O
4.4782 -1.5759 1.9856 O
6.2530 2.6915 -0.1990 O
3.1013 2.6915 0.1990 O
1.9856 4.4782 -1.5759 O
2.6915 0.1990 3.1013 O
0.0000 3.4931 0.0000 O
0.0000 0.0000 3.4931 O
4.8761 1.5759 1.9856 O
0.1990 3.1013 2.6915 O
0.0000 5.8612 0.0000 O
0.0000 0.0000 5.8612 O
2.6915 -0.1990 6.2530 O
1.9856 4.8761 1.5759 O
-1.5759 1.9856 4.4782 O
1.5759 1.9856 4.8761 O
-0.1990 6.2530 2.6915 O

PBE SCl2O, optimized geometry; electronic total energy = -0.13926 hartree per atom; corrected total energy (MP2020 scheme) = -0.291 Ry per atom; energy of formation from the pure elements = -0.7658 eV/atom
1.0
9.4501 0.0000 0.0000
0.0000 6.1846 0.0000
-1.3129 0.0000 8.1740
S Cl O
4 8 4
Cartesian
1.2569 0.3867 2.1542 S
0.6004 2.7056 6.2412 S
7.5368 3.4790 1.9329 S
6.8803 5.7978 6.0199 S
1.1613 4.3815 7.3954 Cl
1.8178 4.8953 3.3083 Cl
3.1658 1.2449 1.9535 Cl
2.5094 1.8473 6.0406 Cl
5.6278 4.3372 2.1335 Cl
4.9713 4.9396 6.2205 Cl
6.3194 1.2892 4.8657 Cl
6.9758 1.8031 0.7787 Cl
0.4645 1.2608 2.9995 O
-0.1919 1.8315 7.0865 O
8.3291 4.3531 1.0876 O
7.6726 4.9237 5.1746 O